Entry 1:
Computed, not measured: Mn3TeO6 after structural relaxation at the GGA+U level of DFT.

## Properties
- offset from the most stable computed form (meV/atom) = 37.6
- energy relative to the elements (eV/atom) = -1.883
- E (MP2020) (eV/atom) = -7.9144
- calculated density (Mg/m³) = 5.48

The structure in extended XYZ format:
```
20
Lattice="5.366 0.000 0.000 0.000 5.520 0.000 -0.049 -0.008 7.947" Properties=species:S:1:pos:R:3 pbc="T T T"
Mn 0.000 0.000 0.000
Mn 0.048 3.013 1.898
Mn 0.106 0.515 3.779
Mn 2.655 3.269 3.976
Mn 2.711 0.259 5.853
Mn 2.764 2.755 7.748
Te 0.025 3.020 5.873
Te 2.733 0.254 1.893
O 0.701 3.452 7.680
O 0.935 4.625 5.197
O 1.103 4.787 2.305
O 1.658 2.037 5.461
O 1.817 1.853 2.579
O 2.062 0.700 0.089
O 3.405 5.334 3.703
O 3.646 4.169 1.220
O 3.768 4.013 6.291
O 4.366 1.235 1.491
O 4.473 1.421 6.553
O 4.717 2.579 4.068
```


Entry 2:
Computed, not measured: MnP2H36C12N6Cl2O2 after structural relaxation at the GGA+U level of DFT.

## Properties
- energy relative to the elements (eV/atom) = -0.286
- E (MP2020) (eV/atom) = -5.4747
- calculated density (Mg/m³) = 1.26

The structure in extended XYZ format:
```
122
Lattice="11.956 -4.173 0.000 11.956 4.173 0.000 -9.797 0.000 12.744" Properties=species:S:1:pos:R:3 pbc="T T T"
Mn 4.608 2.509 9.558
Mn 9.507 -2.509 3.186
P -6.961 0.529 12.182
P -2.063 -0.529 5.809
P 16.178 0.529 6.935
P 21.076 -0.529 0.563
H -0.687 1.829 7.772
H 7.213 3.323 3.061
H -0.625 2.583 10.734
H 7.195 3.284 5.516
H 4.574 2.092 4.580
H 0.802 0.619 5.207
H 4.025 2.026 6.279
H 11.818 3.284 0.856
H 6.586 1.826 2.292
H -3.376 0.926 12.136
H 2.501 0.117 2.952
H 4.167 0.543 2.467
H 8.323 1.998 2.609
H 11.800 3.323 3.311
H 2.056 2.220 12.161
H -2.397 -0.117 9.324
H 0.540 0.039 6.879
H 5.438 -0.039 0.507
H 8.416 0.873 0.299
H 7.160 2.220 6.955
H -4.096 -0.619 11.579
H -0.112 0.723 11.783
H 7.131 1.512 5.313
H -0.731 -0.543 8.840
H 10.690 1.998 3.763
H 11.883 1.512 1.059
H 1.523 -0.926 5.764
H 9.842 2.583 8.383
H 14.988 2.026 0.093
H 14.439 2.092 1.792
H 10.000 0.176 0.708
H 12.428 1.826 4.080
H 4.211 -1.829 1.400
H 4.787 -0.723 5.411
H 5.102 -0.176 7.080
H 3.518 -0.873 6.671
H 10.598 0.873 6.073
H 9.013 0.176 5.664
H 9.329 0.723 7.334
H 9.904 1.829 11.344
H 1.687 -1.826 8.665
H 4.115 -0.176 12.036
H -0.324 -2.092 10.953
H -0.873 -2.026 12.651
H 4.273 -2.583 4.361
H 12.592 0.926 6.980
H 2.232 -1.512 11.685
H 3.425 -1.998 8.981
H 14.846 0.543 3.905
H 6.984 -1.512 7.431
H 14.227 -0.723 0.961
H 18.211 0.619 1.165
H 6.955 -2.220 5.789
H 5.699 -0.873 12.445
H 8.677 0.039 12.237
H 13.575 -0.039 5.865
H 16.512 0.117 3.420
H 12.059 -2.220 0.583
H 2.315 -3.323 9.433
H 5.792 -1.998 10.135
H 9.948 -0.543 10.277
H 11.614 -0.117 9.793
H 17.491 -0.926 0.608
H 7.529 -1.826 10.452
H 2.297 -3.284 11.888
H 10.090 -2.026 6.465
H 13.313 -0.619 7.537
H 9.541 -2.092 8.164
H 6.920 -3.284 7.228
H 14.741 -2.583 2.011
H 6.902 -3.323 9.683
H 14.802 -1.829 4.972
C 3.879 2.529 5.317
C 7.420 2.543 2.309
C 3.110 0.551 2.144
C -4.261 0.277 12.206
C 11.471 2.329 0.445
C 7.542 2.329 5.927
C 0.638 -0.277 5.834
C -1.788 -0.551 8.516
C 9.490 0.942 0.104
C 11.594 2.543 4.063
C 15.134 2.529 1.055
C 9.523 0.942 6.268
C 4.592 -0.942 6.476
C -1.019 -2.529 11.689
C 2.522 -2.543 8.681
C 4.625 -0.942 12.640
C 15.903 0.551 4.228
C 13.478 0.277 6.910
C 6.573 -2.329 6.818
C 2.644 -2.329 12.299
C 18.376 -0.277 0.538
C 11.005 -0.551 10.601
C 6.695 -2.543 10.435
C 10.236 -2.529 7.427
N -5.431 1.044 11.770
N -1.991 0.213 7.292
N 10.006 2.253 0.487
N 2.908 -0.213 0.920
N -0.533 -1.044 5.398
N 9.008 2.253 5.885
N 5.107 -2.253 6.860
N 14.648 1.044 7.347
N 11.208 0.213 11.824
N 4.109 -2.253 12.257
N 16.106 -0.213 5.452
N 19.546 -1.044 0.975
Cl 2.563 1.333 9.280
Cl 6.654 1.333 9.837
Cl 7.461 -1.333 2.907
Cl 11.553 -1.333 3.465
O 4.864 3.729 7.902
O 4.353 3.729 11.215
O 9.762 -3.729 1.529
O 9.251 -3.729 4.843
```


Entry 3:
Computed, not measured: Li2V3WO8 after structural relaxation at the GGA+U level of DFT.

## Properties
- offset from the most stable computed form (meV/atom) = 0.3
- energy relative to the elements (eV/atom) = -2.424
- E (MP2020) (eV/atom) = -8.3962
- calculated density (Mg/m³) = 4.96

The structure in extended XYZ format:
```
28
Lattice="6.036 0.000 0.000 2.941 5.279 0.000 2.798 1.626 10.051" Properties=species:S:1:pos:R:3 pbc="T T T"
Li 1.457 0.850 3.077
Li 4.417 2.598 1.950
Li 7.358 4.306 8.100
Li 10.319 6.055 6.974
V 0.000 0.000 0.000
V 1.471 2.639 0.000
V 2.870 3.452 5.025
V 3.018 0.000 0.000
V 4.417 0.813 5.025
V 5.888 3.452 5.025
W 4.363 2.539 7.533
W 7.412 4.366 2.518
O 2.792 3.608 1.232
O 1.517 0.892 1.011
O 3.024 1.773 6.310
O 4.373 4.148 6.245
O 7.269 6.220 8.817
O 5.675 3.319 8.764
O 4.379 2.567 4.012
O 6.023 5.157 3.789
O 5.753 1.748 6.261
O 7.397 4.337 6.039
O 6.101 3.586 1.286
O 4.506 0.685 1.234
O 7.402 2.756 3.805
O 8.751 5.132 3.741
O 10.259 6.013 9.039
O 8.983 3.297 8.819
```


Entry 4:
Computed, not measured: Li2MnSiO4 after structural relaxation at the GGA+U level of DFT.

## Properties
- offset from the most stable computed form (meV/atom) = 5.3
- energy relative to the elements (eV/atom) = -2.685
- E (MP2020) (eV/atom) = -7.4594
- calculated density (Mg/m³) = 2.99

The structure in extended XYZ format:
```
32
Lattice="6.379 0.000 -0.011 -0.005 5.512 5.076 -0.006 -5.512 5.075" Properties=species:S:1:pos:R:3 pbc="T T T"
Mn 1.553 -1.839 5.058
Li 4.784 3.765 5.063
O 3.215 4.554 4.210
O 3.215 -0.959 4.209
Mn 1.555 3.677 5.062
Li 1.597 1.742 2.531
O 4.551 -1.689 1.986
Li 4.784 -1.747 5.063
O 0.023 0.954 6.753
O 6.331 4.894 4.532
Si 6.369 0.939 5.088
Mn 4.745 1.833 2.517
O 5.005 1.764 4.605
O 1.817 -1.768 2.073
Li 1.592 1.742 7.606
O 3.144 0.613 2.000
O 5.004 -3.748 4.604
Li 6.366 -0.838 2.521
O 0.028 0.954 1.678
Si 6.367 -4.573 5.088
O 1.358 -3.828 4.529
O 3.139 0.614 7.075
O 1.359 1.686 4.530
Si 3.181 -0.944 2.556
Li 6.361 -0.838 7.596
Mn 4.741 1.834 7.591
O 4.545 -1.689 7.062
O 6.331 -0.618 4.532
O 1.812 -1.768 7.147
Si 3.175 -0.944 7.631
Li 3.174 0.834 5.064
Li 3.174 -4.678 5.064
```


Entry 5:
Computed, not measured: Li3Cr2Co2O8 after structural relaxation at the GGA+U level of DFT.

## Properties
- offset from the most stable computed form (meV/atom) = 7.5
- energy relative to the elements (eV/atom) = -1.885
- E (MP2020) (eV/atom) = -7.1405
- calculated density (Mg/m³) = 4.19

The structure in extended XYZ format:
```
15
Lattice="5.883 0.000 0.000 -2.854 5.151 0.000 -0.108 -3.398 4.848" Properties=species:S:1:pos:R:3 pbc="T T T"
Li 0.000 0.000 0.000
Li -0.054 -1.699 2.424
Li 1.514 2.575 0.000
Cr 2.942 0.000 0.000
Cr 1.461 0.877 2.424
Co -1.481 0.877 2.424
Co 2.888 -1.699 2.424
O -1.389 2.552 3.600
O 0.016 0.181 3.544
O 0.093 1.677 1.364
O 1.558 -0.742 1.306
O 1.363 2.495 3.542
O 2.828 0.077 3.484
O 2.905 1.572 1.304
O 4.311 -0.798 1.248
```


Entry 6:
Computed, not measured: ZnW5O7 after structural relaxation at the GGA+U level of DFT.

## Properties
- energy relative to the elements (eV/atom) = -0.758
- E (MP2020) (eV/atom) = -8.5026
- calculated density (Mg/m³) = 10.29

The structure in extended XYZ format:
```
26
Lattice="1.638 -5.555 0.000 1.638 5.555 0.000 0.000 0.000 19.445" Properties=species:S:1:pos:R:3 pbc="T T T"
Zn 1.638 3.735 14.584
Zn 1.638 -3.735 4.861
W 0.000 0.000 0.000
W 0.000 0.000 9.723
W 1.638 2.556 1.594
W 1.638 2.556 8.129
W 1.638 0.293 12.673
W 1.638 0.293 16.494
W 1.638 -0.293 2.951
W 1.638 -0.293 6.772
W 1.638 -2.556 11.316
W 1.638 -2.556 17.851
O 1.638 4.143 12.445
O 1.638 4.143 16.723
O 1.638 3.942 3.197
O 1.638 3.942 6.526
O 1.638 1.788 10.460
O 1.638 1.788 18.707
O 1.638 0.599 4.861
O 1.638 -0.599 14.584
O 1.638 -1.788 0.738
O 1.638 -1.788 8.985
O 1.638 -3.942 12.919
O 1.638 -3.942 16.248
O 1.638 -4.143 2.722
O 1.638 -4.143 7.001
```


Entry 7:
Computed, not measured: CoPO4 after structural relaxation at the GGA+U level of DFT.

## Properties
- energy relative to the elements (eV/atom) = -2.077
- E (MP2020) (eV/atom) = -7.4631
- calculated density (Mg/m³) = 2.93

The structure in extended XYZ format:
```
36
Lattice="7.014 4.050 3.066 -7.014 4.050 3.066 0.000 -8.099 3.066" Properties=species:S:1:pos:R:3 pbc="T T T"
Co -1.350 -5.571 3.066
Co -4.150 3.954 3.066
Co -2.907 0.198 4.606
Co 1.282 -2.617 4.606
Co 1.625 2.419 4.606
Co 5.500 1.617 3.066
P -5.655 1.562 4.541
P 1.475 -5.678 4.541
P -1.577 -2.392 6.069
P -1.283 2.562 6.069
P 2.860 -0.170 6.069
P 4.180 4.117 4.541
O -4.770 0.282 4.472
O -2.434 0.666 2.846
O -5.013 -2.522 6.476
O -0.060 -5.486 4.378
O 0.640 -2.441 2.846
O -4.721 2.795 4.378
O -2.336 -3.743 5.950
O -2.067 -1.400 4.994
O 2.140 -4.272 4.472
O 1.794 1.775 2.846
O -0.071 -2.679 5.888
O -2.285 1.401 5.888
O -1.826 -1.790 7.476
O -0.179 2.490 4.994
O 2.246 -1.090 4.994
O -2.074 3.894 5.950
O 2.629 3.990 4.472
O 2.355 1.278 5.888
O -0.637 2.476 7.476
O 4.690 -3.080 6.476
O 4.781 2.691 4.378
O 4.410 -0.151 5.950
O 0.323 5.602 6.476
O 2.463 -0.686 7.476
```


Entry 8:
Computed, not measured: TeMo5O16 after structural relaxation at the GGA+U level of DFT.

## Properties
- offset from the most stable computed form (meV/atom) = 3.6
- energy relative to the elements (eV/atom) = -1.870
- E (MP2020) (eV/atom) = -8.0766
- calculated density (Mg/m³) = 4.56

The structure in extended XYZ format:
```
44
Lattice="4.138 0.000 0.000 0.000 7.388 0.000 -0.056 0.000 20.550" Properties=species:S:1:pos:R:3 pbc="T T T"
Te 0.000 0.602 0.000
Te -0.028 6.786 10.275
Mo 0.444 1.838 3.435
Mo 0.416 5.550 13.710
Mo 0.416 1.853 17.248
Mo 0.444 5.535 6.973
Mo 0.481 3.540 10.352
Mo 0.509 3.848 0.077
Mo 3.858 1.810 13.579
Mo 3.886 5.578 3.304
Mo 3.882 1.804 7.117
Mo 3.854 5.584 17.392
O 0.085 0.075 2.719
O 0.057 7.313 12.994
O 0.055 0.084 18.013
O 0.083 7.304 7.738
O 0.109 3.656 3.668
O 0.081 3.732 13.943
O 0.079 3.665 17.009
O 0.107 3.723 6.734
O 0.134 2.339 8.989
O 0.106 5.049 19.264
O 0.119 1.374 15.502
O 0.159 2.233 1.289
O 0.128 2.343 11.708
O 0.156 5.045 1.433
O 0.131 5.155 11.564
O 0.147 6.014 5.227
O 0.152 1.379 5.192
O 0.124 6.009 15.467
O 0.120 2.260 19.357
O 0.148 5.128 9.082
O 2.123 1.795 13.612
O 2.151 5.593 3.337
O 2.147 1.789 7.080
O 2.119 5.599 17.355
O 2.184 1.855 3.344
O 2.156 5.533 13.619
O 2.155 1.862 17.333
O 2.183 5.526 7.058
O 2.216 3.590 10.353
O 2.244 3.798 0.078
O 2.219 0.564 20.467
O 2.247 6.824 10.192
```